Entry 1:
14
Lattice="5.249 0.000 0.000 -1.104 7.471 0.000 -2.462 -3.458 6.250" Properties=species:S:1:pos:R:3 comment="Ta6S | Materials Project | r2SCAN | optimized geometry" dft_energy_ev_per_atom=-43.102 pbc="T T T"
Ta 0.000 0.000 0.000
Ta -1.224 0.921 2.319
Ta -1.154 -1.375 4.506
Ta 0.276 4.945 0.403
Ta 1.306 2.274 1.412
Ta 1.283 -0.451 2.655
Ta 2.625 0.000 0.000
Ta 0.400 4.464 3.595
Ta 0.377 1.740 4.838
Ta 1.407 -0.931 5.848
Ta 2.837 5.389 1.744
Ta 2.907 3.093 3.932
S -1.005 3.335 1.873
S 2.688 0.679 4.377

Entry 2:
12
Lattice="-1.653 12.692 2.866 1.653 -12.692 2.866 1.653 12.692 -2.866" Properties=species:S:1:pos:R:3 comment="Ta3WS8 | Materials Project | r2SCAN | optimized geometry" dft_energy_ev_per_atom=-22.876 pbc="T T T"
Ta 0.000 0.000 0.000
Ta 0.000 6.341 0.030
Ta 0.000 19.042 0.030
W 0.000 12.692 0.046
S 1.653 11.177 -0.903
S 1.653 4.785 0.988
S 0.000 1.515 1.964
S 1.653 7.904 0.984
S 0.000 11.146 1.916
S 0.000 4.787 3.851
S 0.000 14.237 1.916
S 0.000 7.907 3.854

Entry 3:
12
Lattice="6.443 -1.909 0.000 6.443 1.909 0.000 -2.955 0.000 11.246" Properties=species:S:1:pos:R:3 comment="Tb5S7 | Materials Project | r2SCAN | optimized geometry" dft_energy_ev_per_atom=-20.084 pbc="T T T"
Tb 0.000 0.000 0.000
Tb 0.194 0.000 4.738
Tb 3.315 0.000 2.119
Tb 6.615 0.000 9.127
Tb 9.736 0.000 6.508
S -1.786 0.000 8.827
S 1.428 0.000 7.282
S 1.589 0.000 10.670
S 4.965 0.000 5.623
S 8.341 0.000 0.575
S 8.502 0.000 3.964
S 11.716 0.000 2.418